(1)
Material: Li8VO5F
Method: DFT, PBE with a Hubbard U
State: relaxed

Formation energy ... -2.2748 eV/atom
DFT total energy ... -79.53 eV/f.u.
Excess energy over the best structure of this formula in the dataset ... 0 meV per atom

Lattice parameters (Å, degrees): 6.014 9.870 9.551 101.71 105.92 82.82
Fractional coordinates of all 60 atoms:
1 O 0.347 0.892 0.690
2 Li 0.460 0.503 0.327
3 O 0.417 0.345 0.461
4 O 0.081 0.153 0.541
5 O 0.330 0.903 0.041
6 Li 0.602 0.760 0.737
7 Li 0.764 0.247 0.147
8 Li 0.655 0.998 0.761
9 Li 0.905 0.748 0.261
10 O 0.918 0.845 0.461
11 F 0.371 0.891 0.380
12 V 0.992 0.992 0.007
13 Li 0.264 0.747 0.147
14 O 0.096 0.142 0.190
15 F 0.621 0.641 0.880
16 O 0.847 0.392 0.690
17 Li 0.342 0.021 0.560
18 F 0.121 0.141 0.880
19 O 0.668 0.095 0.961
20 O 0.898 0.857 0.812
21 O 0.396 0.364 0.124
22 V 0.492 0.492 0.007
23 F 0.870 0.391 0.380
24 Li 0.636 0.006 0.117
25 Li 0.352 0.010 0.237
26 Li 0.370 0.988 0.885
27 Li 0.120 0.238 0.385
28 O 0.146 0.614 0.624
29 Li 0.842 0.521 0.560
30 Li 0.210 0.753 0.827
31 O 0.148 0.607 0.313
32 V 0.242 0.743 0.507
33 Li 0.620 0.738 0.385
34 Li 0.014 0.997 0.647
35 Li 0.592 0.771 0.060
36 O 0.646 0.114 0.624
37 Li 0.420 0.233 0.950
38 Li 0.710 0.253 0.827
39 V 0.742 0.242 0.507
40 O 0.896 0.864 0.124
41 Li 0.102 0.260 0.737
42 Li 0.405 0.248 0.261
43 O 0.580 0.653 0.541
44 Li 0.136 0.506 0.117
45 Li 0.920 0.734 0.950
46 Li 0.960 0.003 0.327
47 Li 0.870 0.488 0.885
48 O 0.596 0.642 0.190
49 Li 0.155 0.498 0.761
50 Li 0.092 0.271 0.060
51 O 0.648 0.107 0.312
52 Li 0.385 0.256 0.617
53 Li 0.886 0.756 0.617
54 Li 0.852 0.510 0.237
55 O 0.168 0.595 0.961
56 Li 0.670 0.983 0.450
57 O 0.830 0.403 0.041
58 Li 0.514 0.497 0.647
59 Li 0.170 0.484 0.450
60 O 0.398 0.357 0.813



(2)
Material: SmCuMo2O8
Method: DFT, PBE with a Hubbard U
State: relaxed

Formation energy ... -2.2736 eV/atom
DFT total energy ... -85.48 eV/f.u.

Lattice parameters (Å, degrees): 9.983 14.866 10.423 90.00 90.00 90.00
Fractional coordinates of all 96 atoms:
1 Sm 0.223 0.104 0.035
2 Sm 0.223 0.396 0.535
3 Sm 0.277 0.604 0.035
4 Sm 0.277 0.896 0.535
5 Sm 0.723 0.104 0.465
6 Sm 0.723 0.396 0.965
7 Sm 0.777 0.604 0.465
8 Sm 0.777 0.896 0.965
9 Cu 0.193 0.195 0.683
10 Cu 0.193 0.305 0.183
11 Cu 0.307 0.695 0.683
12 Cu 0.307 0.805 0.183
13 Cu 0.693 0.195 0.817
14 Cu 0.693 0.305 0.317
15 Cu 0.807 0.695 0.817
16 Cu 0.807 0.805 0.317
17 Mo 0.001 0.058 0.720
18 Mo 0.001 0.442 0.220
19 Mo 0.170 0.653 0.397
20 Mo 0.170 0.847 0.897
21 Mo 0.330 0.153 0.397
22 Mo 0.330 0.347 0.897
23 Mo 0.499 0.558 0.720
24 Mo 0.499 0.942 0.220
25 Mo 0.501 0.058 0.780
26 Mo 0.501 0.442 0.280
27 Mo 0.670 0.653 0.103
28 Mo 0.670 0.847 0.603
29 Mo 0.830 0.153 0.103
30 Mo 0.830 0.347 0.603
31 Mo 0.999 0.558 0.780
32 Mo 0.999 0.942 0.280
33 O 0.007 0.166 0.088
34 O 0.007 0.334 0.588
35 O 0.094 0.524 0.133
36 O 0.094 0.976 0.633
37 O 0.100 0.625 0.886
38 O 0.100 0.875 0.386
39 O 0.108 0.502 0.669
40 O 0.108 0.998 0.169
41 O 0.112 0.131 0.818
42 O 0.112 0.369 0.318
43 O 0.212 0.538 0.424
44 O 0.212 0.962 0.924
45 O 0.226 0.682 0.237
46 O 0.226 0.818 0.737
47 O 0.245 0.227 0.513
48 O 0.245 0.273 0.013
49 O 0.255 0.727 0.513
50 O 0.255 0.773 0.013
51 O 0.274 0.182 0.237
52 O 0.274 0.318 0.737
53 O 0.288 0.038 0.424
54 O 0.288 0.462 0.924
55 O 0.388 0.631 0.818
56 O 0.388 0.869 0.318
57 O 0.392 0.002 0.669
58 O 0.392 0.498 0.169
59 O 0.400 0.125 0.886
60 O 0.400 0.375 0.386
61 O 0.406 0.024 0.133
62 O 0.406 0.476 0.633
63 O 0.493 0.666 0.088
64 O 0.493 0.834 0.588
65 O 0.507 0.166 0.412
66 O 0.507 0.334 0.912
67 O 0.594 0.524 0.367
68 O 0.594 0.976 0.867
69 O 0.600 0.625 0.614
70 O 0.600 0.875 0.114
71 O 0.608 0.502 0.831
72 O 0.608 0.998 0.331
73 O 0.612 0.131 0.682
74 O 0.612 0.369 0.182
75 O 0.712 0.538 0.076
76 O 0.712 0.962 0.576
77 O 0.726 0.682 0.263
78 O 0.726 0.818 0.763
79 O 0.745 0.227 0.987
80 O 0.745 0.273 0.487
81 O 0.755 0.727 0.987
82 O 0.755 0.773 0.487
83 O 0.774 0.182 0.263
84 O 0.774 0.318 0.763
85 O 0.788 0.038 0.076
86 O 0.788 0.462 0.576
87 O 0.888 0.631 0.682
88 O 0.888 0.869 0.182
89 O 0.892 0.002 0.831
90 O 0.892 0.498 0.331
91 O 0.900 0.125 0.614
92 O 0.900 0.375 0.114
93 O 0.906 0.024 0.367
94 O 0.906 0.476 0.867
95 O 0.993 0.666 0.412
96 O 0.993 0.834 0.912



(3)
Material: Sr4NbCoO8
Method: DFT, PBE with a Hubbard U
State: relaxed

Formation energy ... -2.8869 eV/atom
DFT total energy ... -96.83 eV/f.u.

Lattice parameters (Å, degrees): 7.013 7.013 5.578 90.00 90.00 132.65
Fractional coordinates of all 14 atoms:
1 Sr 0.145 0.855 0.000
2 Sr 0.351 0.649 0.500
3 Sr 0.649 0.351 0.500
4 Sr 0.855 0.145 0.000
5 Nb 0.500 0.500 0.000
6 Co 0.000 0.000 0.500
7 O 0.163 0.837 0.500
8 O 0.250 0.250 0.251
9 O 0.250 0.250 0.749
10 O 0.340 0.660 0.000
11 O 0.660 0.340 0.000
12 O 0.750 0.750 0.251
13 O 0.750 0.750 0.749
14 O 0.837 0.163 0.500



(4)
Material: Li8NbFe3O12
Method: DFT, PBE with a Hubbard U
State: relaxed

Formation energy ... -2.0731 eV/atom
DFT total energy ... -144.90 eV/f.u.

Lattice parameters (Å, degrees): 5.003 5.688 7.581 80.35 89.93 89.96
Fractional coordinates of all 24 atoms:
1 Li 0.000 0.000 0.000
2 Li 0.002 0.995 0.479
3 Li 0.494 0.509 0.989
4 Li 0.498 0.516 0.476
5 Li 0.501 0.191 0.845
6 Li 0.505 0.196 0.334
7 Li 0.993 0.713 0.841
8 Li 0.996 0.705 0.323
9 Nb 0.999 0.353 0.661
10 Fe 0.498 0.853 0.661
11 Fe 0.498 0.854 0.161
12 Fe 0.999 0.353 0.161
13 O 0.141 0.356 0.911
14 O 0.172 0.677 0.589
15 O 0.185 0.031 0.232
16 O 0.320 0.542 0.231
17 O 0.323 0.180 0.590
18 O 0.355 0.857 0.918
19 O 0.642 0.850 0.404
20 O 0.675 0.528 0.732
21 O 0.678 0.165 0.091
22 O 0.812 0.676 0.090
23 O 0.824 0.031 0.733
24 O 0.857 0.351 0.411



(5)
Material: LiAlCrO4
Method: DFT, PBE with a Hubbard U
State: relaxed

Formation energy ... -2.5998 eV/atom
DFT total energy ... -48.55 eV/f.u.
Excess energy over the best structure of this formula in the dataset ... 0 meV per atom

Lattice parameters (Å, degrees): 2.892 9.319 10.188 90.00 90.00 90.00
Fractional coordinates of all 28 atoms:
1 Li 0.003 0.159 0.121
2 Li 0.497 0.841 0.621
3 Li 0.503 0.341 0.879
4 Li 0.997 0.659 0.379
5 Al 0.006 0.244 0.625
6 Al 0.494 0.756 0.125
7 Al 0.506 0.256 0.375
8 Al 0.994 0.744 0.875
9 Cr 0.017 0.978 0.345
10 Cr 0.483 0.022 0.845
11 Cr 0.517 0.522 0.655
12 Cr 0.983 0.478 0.155
13 O 0.004 0.148 0.460
14 O 0.008 0.351 0.297
15 O 0.012 0.402 0.745
16 O 0.018 0.115 0.932
17 O 0.482 0.885 0.432
18 O 0.488 0.598 0.245
19 O 0.492 0.649 0.797
20 O 0.496 0.852 0.960
21 O 0.504 0.352 0.540
22 O 0.508 0.149 0.703
23 O 0.512 0.098 0.255
24 O 0.518 0.385 0.068
25 O 0.982 0.615 0.568
26 O 0.988 0.902 0.755
27 O 0.992 0.851 0.203
28 O 0.996 0.648 0.040



(6)
Material: Li2FePCO7
Method: DFT, PBE with a Hubbard U
State: relaxed

Formation energy ... -2.2735 eV/atom
DFT total energy ... -81.78 eV/f.u.
Excess energy over the best structure of this formula in the dataset ... 22 meV per atom

Lattice parameters (Å, degrees): 5.110 6.374 8.542 95.21 93.13 90.47
Fractional coordinates of all 24 atoms:
1 Li 0.166 0.412 0.269
2 Li 0.254 0.920 0.166
3 Li 0.746 0.080 0.834
4 Li 0.834 0.588 0.731
5 Fe 0.220 0.273 0.660
6 Fe 0.780 0.727 0.340
7 P 0.320 0.753 0.572
8 P 0.680 0.247 0.428
9 C 0.261 0.255 0.956
10 C 0.739 0.745 0.044
11 O 0.037 0.282 0.879
12 O 0.180 0.720 0.404
13 O 0.220 0.586 0.677
14 O 0.256 0.971 0.653
15 O 0.277 0.207 0.097
16 O 0.379 0.270 0.444
17 O 0.466 0.277 0.872
18 O 0.534 0.723 0.128
19 O 0.621 0.730 0.556
20 O 0.723 0.793 0.903
21 O 0.744 0.029 0.347
22 O 0.780 0.414 0.323
23 O 0.820 0.280 0.596
24 O 0.963 0.718 0.121



(7)
Material: Li9Mn2Co5O16
Method: DFT, PBE with a Hubbard U
State: relaxed

Formation energy ... -1.7957 eV/atom
DFT total energy ... -185.16 eV/f.u.
Excess energy over the best structure of this formula in the dataset ... 68 meV per atom

Lattice parameters (Å, degrees): 2.979 5.086 19.631 91.75 92.74 104.42
Fractional coordinates of all 32 atoms:
1 Li 0.000 0.000 0.000
2 Li 0.052 0.296 0.815
3 Li 0.173 0.926 0.440
4 Li 0.268 0.538 0.057
5 Li 0.423 0.176 0.690
6 Li 0.548 0.793 0.317
7 Li 0.671 0.413 0.940
8 Li 0.798 0.046 0.566
9 Li 0.936 0.687 0.190
10 Mn 0.226 0.231 0.253
11 Mn 0.603 0.110 0.122
12 Co 0.111 0.612 0.628
13 Co 0.367 0.865 0.881
14 Co 0.481 0.488 0.503
15 Co 0.740 0.733 0.753
16 Co 0.867 0.361 0.378
17 O 0.030 0.117 0.904
18 O 0.093 0.471 0.717
19 O 0.126 0.750 0.537
20 O 0.183 0.098 0.345
21 O 0.225 0.356 0.158
22 O 0.326 0.711 0.960
23 O 0.379 0.994 0.788
24 O 0.429 0.349 0.594
25 O 0.547 0.967 0.218
26 O 0.549 0.621 0.411
27 O 0.649 0.269 0.040
28 O 0.681 0.600 0.842
29 O 0.790 0.872 0.661
30 O 0.844 0.224 0.468
31 O 0.914 0.502 0.287
32 O 0.992 0.869 0.098



(8)
Material: LiFePbO3
Method: DFT, PBE with a Hubbard U
State: relaxed

Formation energy ... -1.5085 eV/atom
DFT total energy ... -33.67 eV/f.u.
Excess energy over the best structure of this formula in the dataset ... 0 meV per atom

Lattice parameters (Å, degrees): 4.216 4.216 4.216 84.63 84.63 84.63
Fractional coordinates of all 6 atoms:
1 Li 0.000 0.000 0.000
2 Fe 0.701 0.701 0.701
3 Pb 0.327 0.327 0.327
4 O 0.207 0.705 0.705
5 O 0.705 0.207 0.705
6 O 0.705 0.705 0.207